No. 1
This record from Materials Project describes a geometry-optimized ZnCr2CuO7 structure. The functional is GGA+U.

a = 10.2068 Å, b = 8.3832 Å, c = 10.2479 Å
α = 90.00°, β = 94.46°, γ = 90.00°
With the nearest neighbours (Å) after each atom.
Fractional coordinates of all 66 atoms:
Zn 0.0000 0.0771 0.2500  4 O 2.00-2.06
Zn 0.0000 0.9229 0.7500  4 O 2.00-2.06
Zn 0.3648 0.4316 0.9278  5 O 2.03-2.11
Zn 0.3648 0.5684 0.4278  5 O 2.03-2.11
Zn 0.6352 0.4316 0.5722  5 O 2.03-2.11
Zn 0.6352 0.5684 0.0722  5 O 2.03-2.11
Cr 0.0155 0.2695 0.5432  4 O 1.66-1.79
Cr 0.0155 0.7305 0.0432  4 O 1.66-1.79
Cr 0.3316 0.2571 0.6233  4 O 1.68-1.76
Cr 0.3316 0.7429 0.1233  4 O 1.68-1.76
Cr 0.3353 0.2296 0.2134  4 O 1.66-1.79
Cr 0.3353 0.7704 0.7134  4 O 1.66-1.79
Cr 0.6647 0.2296 0.2866  4 O 1.66-1.79
Cr 0.6647 0.7704 0.7866  4 O 1.66-1.79
Cr 0.6684 0.2571 0.8767  4 O 1.68-1.76
Cr 0.6684 0.7429 0.3767  4 O 1.68-1.76
Cr 0.9845 0.2695 0.9568  4 O 1.66-1.79
Cr 0.9845 0.7305 0.4568  4 O 1.66-1.79
Cu 0.0000 0.4447 0.2500  4 O 1.92-1.97
Cu 0.0000 0.5553 0.7500  4 O 1.92-1.97
Cu 0.3072 0.0644 0.9097  4 O 1.91-2.03
Cu 0.3072 0.9356 0.4097  4 O 1.91-2.03
Cu 0.6928 0.0644 0.5903  4 O 1.91-2.03
Cu 0.6928 0.9356 0.0903  4 O 1.91-2.03
O 0.0001 0.0930 0.6137  1 Cr 1.66
O 0.9999 0.0930 0.8863  1 Cr 1.66
O 0.0001 0.9070 0.1137  1 Cr 1.66
O 0.9999 0.9070 0.3863  1 Cr 1.66
O 0.0169 0.2682 0.1258  1 Cr 1.74
O 0.0169 0.7318 0.6258  1 Cr 1.74
O 0.0724 0.4086 0.8799  1 Cr 1.70
O 0.0724 0.5914 0.3799  1 Cr 1.70
O 0.1791 0.3442 0.5722  2 Cr 1.76-1.79
O 0.1791 0.6558 0.0722  2 Cr 1.76-1.79
O 0.2378 0.0841 0.2776  1 Cr 1.74, 1 Cu 1.93
O 0.2378 0.9159 0.7776  1 Cr 1.74, 1 Cu 1.93
O 0.3111 0.2427 0.0437  1 Cr 1.74
O 0.3111 0.7573 0.5437  1 Cr 1.74
O 0.3122 0.4002 0.2914  1 Cr 1.66
O 0.3122 0.5998 0.7914  1 Cr 1.66
O 0.3390 0.2426 0.7922  1 Cr 1.73
O 0.3390 0.7574 0.2922  1 Cr 1.73
O 0.3557 0.0846 0.5457  1 Cr 1.68
O 0.3557 0.9154 0.0457  1 Cr 1.68
O 0.4329 0.4049 0.5676  1 Cr 1.74
O 0.4329 0.5951 0.0676  1 Cr 1.74
O 0.5000 0.1601 0.2500  2 Cr 1.79
O 0.5000 0.8399 0.7500  2 Cr 1.79
O 0.5671 0.4049 0.9324  1 Cr 1.74
O 0.5671 0.5951 0.4324  1 Cr 1.74
O 0.6443 0.0846 0.9543  1 Cr 1.68
O 0.6443 0.9154 0.4543  1 Cr 1.68
O 0.6610 0.2426 0.7078  1 Cr 1.73
O 0.6610 0.7574 0.2078  1 Cr 1.73
O 0.6878 0.4002 0.2086  1 Cr 1.66
O 0.6878 0.5998 0.7086  1 Cr 1.66
O 0.6889 0.2427 0.4563  1 Cr 1.74
O 0.6889 0.7573 0.9563  1 Cr 1.74
O 0.7622 0.0841 0.2224  1 Cr 1.74, 1 Cu 1.93
O 0.7622 0.9159 0.7224  1 Cr 1.74, 1 Cu 1.93
O 0.8209 0.3442 0.9278  2 Cr 1.76-1.79
O 0.8209 0.6558 0.4278  2 Cr 1.76-1.79
O 0.9276 0.4086 0.6201  1 Cr 1.70
O 0.9276 0.5914 0.1201  1 Cr 1.70
O 0.9831 0.2682 0.3742  1 Cr 1.74
O 0.9831 0.7318 0.8742  1 Cr 1.74

Results
space-group type = P2/c (13)
total energy = -6.148 eV/atom
energy relative to the elements = -1.558 eV/atom

=====

No. 2
This record from Materials Project describes a geometry-optimized Rb3NaMgW2O8 structure. The functional is GGA+U.

a = 7.1938 Å, b = 7.1938 Å, c = 8.0777 Å
α = 98.60°, β = 98.60°, γ = 51.52°
With the nearest neighbours (Å) after each atom.
Fractional coordinates of all 15 atoms:
Rb 0.0000 0.0000 0.0000  2 O 2.98
Rb 0.2703 0.2703 0.6614  3 O 2.71-2.94
Rb 0.7297 0.7297 0.3386  3 O 2.71-2.94
Na 0.0000 0.0000 0.5000  4 O 2.35
Mg 0.5000 0.5000 0.5000  4 O 2.00
W 0.3246 0.3246 0.2128  4 O 1.82-1.97
W 0.6754 0.6754 0.7872  4 O 1.82-1.97
O 0.1912 0.1912 0.2628  1 W 1.84
O 0.1991 0.6205 0.3563  1 W 1.97, 1 Mg 2.00
O 0.3449 0.3449 0.9953  1 W 1.82
O 0.3795 0.8009 0.6437  1 W 1.97, 1 Mg 2.00
O 0.6205 0.1991 0.3563  1 W 1.97, 1 Mg 2.00
O 0.6551 0.6551 0.0047  1 W 1.82
O 0.8009 0.3795 0.6437  1 W 1.97, 1 Mg 2.00
O 0.8088 0.8088 0.7372  1 W 1.84

Results
space-group type = C2/m (12)
energy above the lowest structure with this stoichiometry = 0 meV per atom
total energy = -5.838 eV/atom
energy relative to the elements = -2.039 eV/atom

=====

No. 3
This record from Materials Project describes a geometry-optimized NaLi5Fe2P2C2O14 structure. The functional is GGA+U.

a = 8.5473 Å, b = 6.5312 Å, c = 10.0759 Å
α = 90.00°, β = 94.09°, γ = 90.00°
With the nearest neighbours (Å) after each atom.
Fractional coordinates of all 52 atoms:
Na 0.2445 0.0000 0.1274  5 O 2.30-2.45
Na 0.7555 0.5000 0.8726  5 O 2.30-2.45
Li 0.2238 0.4761 0.1205  4 O 2.02-2.14
Li 0.2267 0.0184 0.6246  4 O 2.04-2.26
Li 0.2268 0.4772 0.6242  4 O 2.08-2.22
Li 0.4095 0.2614 0.3774  2 O 1.95-2.00
Li 0.4120 0.2404 0.8734  3 O 1.99-2.21
Li 0.5880 0.7404 0.1266  3 O 1.99-2.21
Li 0.5905 0.7614 0.6226  2 O 1.95-2.00
Li 0.7733 0.5184 0.3754  4 O 2.04-2.26
Li 0.7732 0.9772 0.3758  4 O 2.08-2.22
Li 0.7762 0.9761 0.8795  4 O 2.02-2.14
Fe 0.1572 0.7420 0.8908  5 O 2.07-2.17
Fe 0.1634 0.7504 0.3964  5 O 2.06-2.22
Fe 0.8366 0.2504 0.6036  5 O 2.06-2.22
Fe 0.8428 0.2420 0.1092  5 O 2.07-2.17
P 0.0891 0.2557 0.3582  4 O 1.54-1.56
P 0.0911 0.2418 0.8541  4 O 1.54-1.56
P 0.9089 0.7418 0.1459  4 O 1.54-1.56
P 0.9109 0.7557 0.6418  4 O 1.54-1.56
C 0.4589 0.7569 0.8531  3 O 1.29-1.31
C 0.4661 0.7463 0.3589  3 O 1.29-1.31
C 0.5339 0.2463 0.6411  3 O 1.29-1.31
C 0.5411 0.2569 0.1469  3 O 1.29-1.31
O 0.0698 0.2550 0.6989  1 P 1.56
O 0.0709 0.7272 0.0884  1 P 1.54
O 0.0725 0.2695 0.2032  1 P 1.56
O 0.0767 0.7530 0.5908  1 P 1.54
O 0.1884 0.4289 0.9105  1 P 1.56
O 0.1901 0.0645 0.4023  1 P 1.56
O 0.1912 0.4376 0.4164  1 P 1.56
O 0.1988 0.0558 0.8942  1 P 1.56
O 0.3473 0.7344 0.7586  1 C 1.31
O 0.3570 0.7423 0.2610  1 C 1.31
O 0.3880 0.2438 0.6689  1 C 1.30
O 0.3987 0.2812 0.1786  1 C 1.29
O 0.4236 0.7540 0.9769  1 C 1.30
O 0.4249 0.7528 0.4798  1 C 1.29
O 0.5751 0.2528 0.5202  1 C 1.29
O 0.5764 0.2540 0.0231  1 C 1.30
O 0.6013 0.7812 0.8214  1 C 1.29
O 0.6120 0.7438 0.3311  1 C 1.30
O 0.6430 0.2423 0.7390  1 C 1.31
O 0.6527 0.2344 0.2414  1 C 1.31
O 0.8012 0.5558 0.1058  1 P 1.56
O 0.8088 0.9376 0.5836  1 P 1.56
O 0.8099 0.5645 0.5977  1 P 1.56
O 0.8116 0.9289 0.0895  1 P 1.56
O 0.9233 0.2530 0.4092  1 P 1.54
O 0.9275 0.7695 0.7968  1 P 1.56
O 0.9291 0.2272 0.9116  1 P 1.54
O 0.9302 0.7550 0.3011  1 P 1.56

Results
space-group type = P2_1 (4)
energy above the lowest structure with this stoichiometry = 3 meV per atom
total energy = -6.641 eV/atom
energy relative to the elements = -2.325 eV/atom